# 1
## Ba2Ce3Si3O12F (PBE)

Data for an optimized crystal structure of Ba2Ce3Si3O12F.

a b c (Å): 9.941 9.941 7.450
angles (deg): 90.00 90.00 120.00
Atoms (fractional coordinates):
O 0.547 0.829 0.254
Ce 0.003 0.254 0.254
Ba 0.667 0.333 0.501
F 0.000 0.000 0.262
Ba 0.667 0.333 0.005
Ce 0.746 0.749 0.254
O 0.088 0.330 0.579
O 0.483 0.914 0.752
O 0.453 0.171 0.754
Ba 0.333 0.667 0.001
Si 0.982 0.621 0.253
O 0.432 0.517 0.752
O 0.914 0.432 0.252
O 0.090 0.332 0.928
O 0.332 0.242 0.428
O 0.668 0.758 0.928
Si 0.379 0.361 0.253
Si 0.639 0.018 0.253
Ce 0.254 0.251 0.754
O 0.758 0.090 0.428
F 0.000 0.000 0.762
Ce 0.251 0.997 0.254
O 0.330 0.241 0.079
Si 0.621 0.639 0.753
O 0.241 0.912 0.579
O 0.171 0.718 0.254
Si 0.361 0.982 0.753
O 0.517 0.086 0.252
O 0.086 0.568 0.752
O 0.670 0.759 0.579
O 0.829 0.282 0.754
Si 0.018 0.379 0.753
O 0.568 0.483 0.252
Ce 0.997 0.746 0.754
O 0.910 0.668 0.428
O 0.912 0.670 0.079
O 0.242 0.910 0.928
O 0.759 0.088 0.079
Ce 0.749 0.003 0.754
O 0.282 0.453 0.254
Ba 0.333 0.667 0.505
O 0.718 0.547 0.754

Summary:
- DFT formation energy: -3607 meV per atom



# 2
## BaCe2FeS5 (PBE)

Data for an optimized crystal structure of BaCe2FeS5.

a b c (Å): 8.687 8.687 8.687
angles (deg): 126.58 126.58 78.94
Atoms (fractional coordinates):
Ba 0.750 0.750 0.000
Ce 0.839 0.661 0.500
Ce 0.339 0.839 0.178
S 0.515 0.716 0.500
S 0.784 0.985 0.500
S 0.716 0.216 0.201
Ce 0.661 0.161 0.822
S 0.485 0.284 0.500
S 0.284 0.784 0.799
S 0.015 0.515 0.799
Ba 0.250 0.250 0.000
S 0.985 0.485 0.201
S 0.000 0.000 0.000
Fe 0.750 0.250 0.500
Fe 0.250 0.750 0.500
S 0.500 0.500 0.000
S 0.216 0.015 0.500
Ce 0.161 0.339 0.500

Summary:
- DFT formation energy: -1887 meV per atom



# 3
## Ba8Ce7YHO24 (PBE)

Data for an optimized crystal structure of Ba8Ce7YHO24.

a b c (Å): 6.328 6.335 17.574
angles (deg): 90.05 90.13 90.71
Atoms (fractional coordinates):
Y 0.994 0.493 0.248
O 0.742 0.741 0.727
O 0.760 0.244 0.450
O 0.242 0.761 0.723
O 0.739 0.744 0.233
Ba 0.520 0.490 0.874
O 0.537 0.085 0.123
Ce 0.496 0.997 0.499
H 0.753 0.243 0.392
O 0.270 0.264 0.976
O 0.972 0.424 0.621
O 0.990 0.578 0.872
O 0.754 0.243 0.290
O 0.465 0.929 0.377
O 0.544 0.083 0.621
Ba 0.470 0.510 0.365
Ba 0.988 0.991 0.626
O 0.481 0.922 0.872
O 0.769 0.232 0.971
Ce 0.505 0.001 0.749
O 0.267 0.267 0.486
O 0.006 0.417 0.122
O 0.266 0.263 0.763
O 0.766 0.238 0.773
Ba 0.477 0.515 0.126
Ba 0.041 0.988 0.364
Ce 0.505 0.001 0.999
Ba 0.022 0.008 0.874
O 0.240 0.766 0.528
O 0.038 0.572 0.377
O 0.733 0.732 0.019
O 0.236 0.766 0.023
Ce 0.000 0.496 0.000
Ce 0.507 0.004 0.248
Ce 0.001 0.501 0.748
Ba 0.499 0.511 0.624
O 0.245 0.759 0.229
Ce 0.006 0.509 0.497
Ba 0.990 0.982 0.126
O 0.741 0.744 0.516
O 0.260 0.251 0.264

Summary:
- DFT formation energy: -3486 meV per atom



# 4
## Ba2CeHfO6 (PBE)

Data for an optimized crystal structure of Ba2CeHfO6.

a b c (Å): 6.136 6.136 6.136
angles (deg): 60.00 60.00 60.00
Atoms (fractional coordinates):
O 0.741 0.259 0.741
O 0.259 0.741 0.259
Hf 0.500 0.500 0.500
O 0.259 0.741 0.741
Ba 0.750 0.750 0.750
Ba 0.250 0.250 0.250
O 0.741 0.741 0.259
Ce 0.000 0.000 0.000
O 0.259 0.259 0.741
O 0.741 0.259 0.259

Summary:
- DFT formation energy: -3666 meV per atom



Volume (computed, Å³ per cell): 638 409 704 163